1.
{"formula": "Cr2P5O15", "functional": "PBE with a Hubbard U", "state": "relaxed", "total_magnetization_mub_per_cell": 14.0, "spacegroup": "P2/c", "lattice_angstrom": [[5.384, 0.000, 0.000], [0.000, 8.625, 0.000], [-4.468, 0.000, 12.770]], "species": ["Cr", "Cr", "Cr", "Cr", "P", "P", "P", "P", "P", "P", "P", "P", "P", "P", "O", "O", "O", "O", "O", "O", "O", "O", "O", "O", "O", "O", "O", "O", "O", "O", "O", "O", "O", "O", "O", "O", "O", "O", "O", "O", "O", "O", "O", "O"], "frac_coords": [[0.102, 0.217, 0.451], [0.102, 0.783, 0.951], [0.898, 0.217, 0.049], [0.898, 0.783, 0.549], [0.000, 0.446, 0.250], [0.000, 0.554, 0.750], [0.301, 0.323, 0.913], [0.301, 0.677, 0.413], [0.463, 0.013, 0.860], [0.463, 0.987, 0.360], [0.537, 0.013, 0.640], [0.537, 0.987, 0.140], [0.699, 0.323, 0.587], [0.699, 0.677, 0.087], [0.092, 0.359, 0.172], [0.092, 0.641, 0.672], [0.097, 0.326, 0.965], [0.097, 0.674, 0.465], [0.234, 0.436, 0.813], [0.234, 0.564, 0.313], [0.267, 0.033, 0.557], [0.267, 0.967, 0.057], [0.271, 0.158, 0.855], [0.271, 0.842, 0.355], [0.304, 0.130, 0.361], [0.304, 0.870, 0.861], [0.416, 0.353, 0.527], [0.416, 0.647, 0.027], [0.500, 0.027, 0.750], [0.500, 0.973, 0.250], [0.584, 0.353, 0.973], [0.584, 0.647, 0.473], [0.696, 0.130, 0.139], [0.696, 0.870, 0.639], [0.729, 0.158, 0.645], [0.729, 0.842, 0.145], [0.733, 0.033, 0.943], [0.733, 0.967, 0.443], [0.766, 0.436, 0.687], [0.766, 0.564, 0.187], [0.903, 0.326, 0.535], [0.903, 0.674, 0.035], [0.908, 0.359, 0.328], [0.908, 0.641, 0.828]]}



2.
{"formula": "Cr2P5O15", "functional": "PBE with a Hubbard U", "state": "relaxed", "total_magnetization_mub_per_cell": 14.0, "spacegroup": "Pc", "lattice_angstrom": [[5.304, 0.000, 0.000], [0.000, 8.358, 0.000], [-4.356, 0.000, 12.935]], "species": ["Cr", "Cr", "Cr", "Cr", "P", "P", "P", "P", "P", "P", "P", "P", "P", "P", "O", "O", "O", "O", "O", "O", "O", "O", "O", "O", "O", "O", "O", "O", "O", "O", "O", "O", "O", "O", "O", "O", "O", "O", "O", "O", "O", "O", "O", "O"], "frac_coords": [[0.000, 0.204, 0.000], [0.000, 0.796, 0.500], [0.148, 0.204, 0.427], [0.148, 0.796, 0.927], [0.074, 0.428, 0.214], [0.074, 0.572, 0.714], [0.411, 0.325, 0.862], [0.411, 0.675, 0.362], [0.560, 0.001, 0.320], [0.560, 0.999, 0.820], [0.588, 0.001, 0.607], [0.588, 0.999, 0.107], [0.738, 0.325, 0.565], [0.738, 0.675, 0.065], [0.160, 0.341, 0.134], [0.160, 0.659, 0.634], [0.201, 0.298, 0.911], [0.201, 0.702, 0.411], [0.299, 0.019, 0.537], [0.299, 0.981, 0.037], [0.318, 0.452, 0.770], [0.318, 0.548, 0.270], [0.382, 0.110, 0.353], [0.382, 0.890, 0.853], [0.423, 0.169, 0.790], [0.423, 0.831, 0.290], [0.456, 0.358, 0.500], [0.456, 0.642, 0.000], [0.573, 0.067, 0.213], [0.573, 0.933, 0.713], [0.691, 0.360, 0.927], [0.691, 0.640, 0.427], [0.730, 0.170, 0.638], [0.730, 0.830, 0.138], [0.763, 0.110, 0.073], [0.763, 0.890, 0.573], [0.828, 0.454, 0.656], [0.828, 0.546, 0.156], [0.850, 0.013, 0.889], [0.850, 0.987, 0.389], [0.947, 0.299, 0.515], [0.947, 0.701, 0.015], [0.989, 0.342, 0.294], [0.989, 0.658, 0.794]]}



Which one sits at the top of the stability order? 2 does.



1.
{"formula": "CrPbO4", "functional": "PBE with a Hubbard U", "state": "relaxed", "spacegroup": "P2_1/c", "lattice_angstrom": [[6.923, 0.000, 0.000], [0.000, 7.621, 0.000], [-5.294, 0.000, 7.104]], "species": ["Cr", "Cr", "Cr", "Cr", "Pb", "Pb", "Pb", "Pb", "O", "O", "O", "O", "O", "O", "O", "O", "O", "O", "O", "O", "O", "O", "O", "O"], "frac_coords": [[0.183, 0.165, 0.298], [0.183, 0.335, 0.798], [0.817, 0.665, 0.202], [0.817, 0.835, 0.702], [0.312, 0.633, 0.216], [0.312, 0.867, 0.716], [0.688, 0.133, 0.284], [0.688, 0.367, 0.784], [0.095, 0.709, 0.389], [0.095, 0.791, 0.889], [0.151, 0.095, 0.463], [0.151, 0.405, 0.963], [0.316, 0.014, 0.253], [0.316, 0.486, 0.753], [0.354, 0.154, 0.875], [0.354, 0.346, 0.375], [0.646, 0.654, 0.625], [0.646, 0.846, 0.125], [0.684, 0.514, 0.247], [0.684, 0.986, 0.747], [0.849, 0.595, 0.037], [0.849, 0.905, 0.537], [0.905, 0.209, 0.111], [0.905, 0.291, 0.611]]}



2.
{"formula": "CrPbO4", "functional": "PBE with a Hubbard U", "state": "relaxed", "total_magnetization_mub_per_cell": 0.0, "spacegroup": "Pnma", "lattice_angstrom": [[8.304, 0.000, 0.000], [0.000, 5.874, 0.000], [0.000, 0.000, 7.734]], "species": ["Cr", "Cr", "Cr", "Cr", "Pb", "Pb", "Pb", "Pb", "O", "O", "O", "O", "O", "O", "O", "O", "O", "O", "O", "O", "O", "O", "O", "O"], "frac_coords": [[0.051, 0.250, 0.170], [0.449, 0.750, 0.670], [0.551, 0.250, 0.330], [0.949, 0.750, 0.830], [0.205, 0.250, 0.702], [0.295, 0.750, 0.202], [0.705, 0.250, 0.798], [0.795, 0.750, 0.298], [0.067, 0.010, 0.289], [0.067, 0.490, 0.289], [0.128, 0.750, 0.922], [0.195, 0.250, 0.022], [0.305, 0.750, 0.522], [0.372, 0.250, 0.422], [0.433, 0.510, 0.789], [0.433, 0.990, 0.789], [0.567, 0.010, 0.211], [0.567, 0.490, 0.211], [0.628, 0.750, 0.578], [0.695, 0.250, 0.478], [0.805, 0.750, 0.978], [0.872, 0.250, 0.078], [0.933, 0.510, 0.711], [0.933, 0.990, 0.711]]}



Which one sits at the top of the stability order? 1 does.



1.
{"formula": "CrSO4", "functional": "PBE with a Hubbard U", "state": "relaxed", "total_magnetization_mub_per_cell": 16.0, "spacegroup": "Pnma", "lattice_angstrom": [[8.647, 0.000, 0.000], [0.000, 7.121, 0.000], [0.000, 0.000, 4.978]], "species": ["Cr", "Cr", "Cr", "Cr", "S", "S", "S", "S", "O", "O", "O", "O", "O", "O", "O", "O", "O", "O", "O", "O", "O", "O", "O", "O"], "frac_coords": [[0.000, 0.000, 0.000], [0.000, 0.500, 0.000], [0.500, 0.000, 0.500], [0.500, 0.500, 0.500], [0.182, 0.250, 0.465], [0.318, 0.750, 0.965], [0.682, 0.250, 0.035], [0.818, 0.750, 0.535], [0.130, 0.077, 0.328], [0.130, 0.423, 0.328], [0.133, 0.250, 0.748], [0.141, 0.750, 0.954], [0.359, 0.250, 0.454], [0.367, 0.750, 0.248], [0.370, 0.577, 0.828], [0.370, 0.923, 0.828], [0.630, 0.077, 0.172], [0.630, 0.423, 0.172], [0.633, 0.250, 0.752], [0.641, 0.750, 0.546], [0.859, 0.250, 0.046], [0.867, 0.750, 0.252], [0.870, 0.577, 0.672], [0.870, 0.923, 0.672]]}



2.
{"formula": "CrSO4", "functional": "PBE with a Hubbard U", "state": "relaxed", "total_magnetization_mub_per_cell": 0.0, "lattice_angstrom": [[-3.118, -2.765, -2.472], [5.627, 1.656, -6.845], [3.710, -5.682, 1.673]], "species": ["Cr", "Cr", "Cr", "Cr", "S", "S", "S", "S", "O", "O", "O", "O", "O", "O", "O", "O", "O", "O", "O", "O", "O", "O", "O", "O"], "frac_coords": [[0.500, 0.500, 0.000], [0.000, 0.000, 0.500], [0.000, 0.000, 0.000], [0.500, 0.500, 0.500], [0.519, 0.173, 0.250], [0.019, 0.673, 0.250], [0.981, 0.327, 0.750], [0.481, 0.827, 0.750], [0.568, 0.340, 0.250], [0.068, 0.840, 0.250], [0.705, 0.388, 0.750], [0.205, 0.888, 0.750], [0.795, 0.112, 0.250], [0.295, 0.612, 0.250], [0.933, 0.160, 0.750], [0.433, 0.660, 0.750], [0.368, 0.123, 0.074], [0.868, 0.623, 0.074], [0.368, 0.123, 0.426], [0.868, 0.623, 0.426], [0.132, 0.377, 0.574], [0.632, 0.877, 0.574], [0.132, 0.377, 0.926], [0.632, 0.877, 0.926]]}



Which one sits at the top of the stability order? 1 does.